Arrangement w

Compound: MgV4O4F8
Source: Materials Project
Functional: GGA+U
Structure: optimized geometry

a b c (Å): 5.189 5.196 9.483
angles (deg): 76.27 76.56 61.50
Fractional coordinates of all 17 atoms:
Mg 0.000 0.000 0.000
V 0.164 0.092 0.683
V 0.338 0.363 0.952
V 0.532 0.624 0.217
V 0.847 0.857 0.454
O 0.230 0.817 0.331
O 0.285 0.128 0.843
O 0.332 0.614 0.076
O 0.475 0.892 0.574
F 0.081 0.492 0.589
F 0.097 0.755 0.830
F 0.613 0.224 0.315
F 0.614 0.963 0.079
F 0.730 0.303 0.843
F 0.829 0.617 0.325
F 0.872 0.110 0.570
F 0.955 0.347 0.083

Calculated values
- space-group type = P1 (1)

Arrangement x

Compound: MgV4O4F8
Source: Materials Project
Functional: GGA+U
Structure: optimized geometry

a b c (Å): 5.216 5.222 9.528
angles (deg): 76.07 75.05 61.72
Fractional coordinates of all 17 atoms:
Mg 0.000 0.000 0.000
V 0.176 0.097 0.683
V 0.372 0.334 0.947
V 0.582 0.552 0.212
V 0.879 0.826 0.450
O 0.155 0.269 0.838
O 0.260 0.606 0.329
O 0.501 0.042 0.571
O 0.618 0.330 0.076
F 0.083 0.863 0.583
F 0.330 0.723 0.836
F 0.352 0.945 0.080
F 0.668 0.795 0.315
F 0.775 0.081 0.835
F 0.859 0.205 0.318
F 0.903 0.448 0.580
F 0.981 0.609 0.072

Calculated values
- space-group type = P1 (1)

Arrangement y

Compound: MgV4O4F8
Source: Materials Project
Functional: GGA+U
Structure: optimized geometry

a b c (Å): 5.276 5.128 7.722
angles (deg): 90.00 93.20 90.00
Fractional coordinates of all 17 atoms:
Mg 0.000 0.000 0.000
V 0.008 0.519 0.258
V 0.490 0.017 0.742
V 0.510 0.017 0.258
V 0.992 0.519 0.742
O 0.205 0.199 0.722
O 0.206 0.833 0.192
O 0.794 0.833 0.808
O 0.795 0.199 0.278
F 0.000 0.385 0.000
F 0.000 0.638 0.500
F 0.297 0.715 0.824
F 0.315 0.321 0.325
F 0.500 0.126 0.000
F 0.500 0.890 0.500
F 0.685 0.321 0.675
F 0.703 0.715 0.176

Calculated values
- space-group type = P2 (3)

Arrangement z

Compound: MgV4O4F8
Source: Materials Project
Functional: GGA+U
Structure: optimized geometry

a b c (Å): 5.088 5.319 7.764
angles (deg): 94.62 90.39 90.28
Fractional coordinates of all 17 atoms:
Mg 0.000 0.000 0.000
V 0.011 0.588 0.222
V 0.014 0.589 0.699
V 0.511 0.102 0.224
V 0.522 0.096 0.708
O 0.194 0.883 0.234
O 0.211 0.325 0.672
O 0.829 0.902 0.771
O 0.837 0.292 0.150
F 0.119 0.620 0.958
F 0.310 0.804 0.634
F 0.322 0.414 0.294
F 0.374 0.110 0.968
F 0.637 0.089 0.457
F 0.706 0.410 0.776
F 0.713 0.793 0.135
F 0.882 0.598 0.457

Calculated values
- space-group type = P1 (1)

The relative energies come out as arrangement w 0.000; arrangement x 0.021; arrangement y 0.051; arrangement z 0.010, with values in eV/atom.